Compound: Li12Cr5O16
Source: Materials Project
Functional: PBE with a Hubbard U
Structure: relaxed

Cell: 5.834 5.839 9.658 Å, 90.13 89.97 119.82°
Sites, in units of the cell vectors:
Li 0.991 0.004 0.076
Li 0.653 0.825 0.736
Li 0.786 0.166 0.957
Li 0.840 0.202 0.238
Li 0.629 0.836 0.490
Li 0.645 0.311 0.746
Li 0.791 0.620 0.963
Li 0.319 0.680 0.251
Li 0.156 0.335 0.464
Li 0.840 0.665 0.234
Li 0.345 0.172 0.957
Li 0.152 0.863 0.459
Cr 0.157 0.332 0.725
Cr 0.156 0.828 0.726
Cr 0.699 0.365 0.488
Cr 0.336 0.677 0.987
Cr 0.369 0.217 0.238
O 0.839 0.182 0.602
O 0.456 0.493 0.853
O 0.979 0.504 0.369
O 0.642 0.826 0.081
O 0.824 0.658 0.602
O 0.466 0.975 0.852
O 0.505 0.050 0.361
O 0.189 0.356 0.111
O 0.305 0.644 0.618
O 0.622 0.315 0.116
O 0.006 0.502 0.852
O 0.507 0.498 0.357
O 0.329 0.168 0.608
O 0.164 0.819 0.092
O 0.047 0.033 0.310
O 0.004 0.014 0.836

Summary:
SG: P1
E_form in eV/atom: -2.143
Electronic total energy in eV per atom: -6.063